## LuAlFe (GGA-PBE)

Data for a relaxed LuAlFe crystal.

a = 8.461 Å, b = 5.315 Å, c = 5.315 Å
α = 59.82°, β = 90.00°, γ = 90.00°
Fractional coordinates of all 12 atoms:
Lu 0.184 0.000 0.000
Lu 0.300 0.670 0.670
Lu 0.700 0.670 0.670
Lu 0.816 0.000 0.000
Al 0.000 0.498 0.498
Al 0.500 0.168 0.168
Al 0.500 0.170 0.660
Al 0.500 0.660 0.170
Fe 0.000 0.005 0.503
Fe 0.000 0.503 0.005
Fe 0.239 0.326 0.326
Fe 0.761 0.326 0.326

energy of formation from the pure elements = -0.340 eV/atom
uncorrected energy = -17.756 eV per formula unit
space group = Amm2 (38)